# 1
VASP calculation (PBE-GGA) on a relaxed RbLiSO4 crystal.

a b c (Å): 5.324 9.563 44.592
angles (deg): 90.00 96.75 90.00
Atoms (fractional coordinates):
1 Rb 0.000 0.241 0.000
2 Rb 0.000 0.759 0.500
3 Rb 0.104 0.257 0.101
4 Rb 0.104 0.743 0.601
5 Rb 0.243 0.247 0.201
6 Rb 0.243 0.753 0.701
7 Rb 0.301 0.258 0.300
8 Rb 0.301 0.742 0.800
9 Rb 0.404 0.244 0.401
10 Rb 0.404 0.756 0.901
11 Rb 0.548 0.257 0.501
12 Rb 0.548 0.743 0.001
13 Rb 0.648 0.244 0.601
14 Rb 0.648 0.756 0.101
15 Rb 0.708 0.256 0.701
16 Rb 0.708 0.744 0.201
17 Rb 0.852 0.242 0.801
18 Rb 0.852 0.758 0.301
19 Rb 0.948 0.254 0.900
20 Rb 0.948 0.746 0.400
21 Li 0.038 0.084 0.537
22 Li 0.038 0.916 0.037
23 Li 0.197 0.412 0.637
24 Li 0.197 0.588 0.137
25 Li 0.225 0.085 0.737
26 Li 0.225 0.915 0.237
27 Li 0.339 0.417 0.837
28 Li 0.339 0.583 0.337
29 Li 0.502 0.086 0.937
30 Li 0.502 0.914 0.437
31 Li 0.587 0.415 0.037
32 Li 0.587 0.585 0.537
33 Li 0.625 0.086 0.137
34 Li 0.625 0.914 0.637
35 Li 0.796 0.415 0.237
36 Li 0.796 0.585 0.737
37 Li 0.890 0.086 0.337
38 Li 0.890 0.914 0.837
39 Li 0.925 0.417 0.437
40 Li 0.925 0.583 0.937
41 S 0.022 0.082 0.459
42 S 0.022 0.918 0.959
43 S 0.114 0.419 0.559
44 S 0.114 0.581 0.059
45 S 0.153 0.080 0.659
46 S 0.153 0.920 0.159
47 S 0.319 0.418 0.759
48 S 0.319 0.582 0.259
49 S 0.417 0.081 0.859
50 S 0.417 0.919 0.359
51 S 0.452 0.417 0.959
52 S 0.452 0.583 0.459
53 S 0.557 0.082 0.059
54 S 0.557 0.918 0.559
55 S 0.716 0.421 0.159
56 S 0.716 0.579 0.659
57 S 0.751 0.082 0.259
58 S 0.751 0.918 0.759
59 S 0.857 0.418 0.359
60 S 0.857 0.582 0.859
61 O 0.002 0.465 0.847
62 O 0.002 0.535 0.347
63 O 0.017 0.282 0.547
64 O 0.017 0.718 0.047
65 O 0.025 0.098 0.493
66 O 0.025 0.902 0.993
67 O 0.118 0.419 0.592
68 O 0.118 0.581 0.092
69 O 0.151 0.463 0.248
70 O 0.151 0.537 0.748
71 O 0.177 0.440 0.950
72 O 0.177 0.560 0.450
73 O 0.205 0.098 0.692
74 O 0.205 0.902 0.192
75 O 0.218 0.285 0.746
76 O 0.218 0.715 0.246
77 O 0.228 0.210 0.644
78 O 0.228 0.790 0.144
79 O 0.249 0.033 0.346
80 O 0.249 0.967 0.846
81 O 0.282 0.061 0.049
82 O 0.282 0.939 0.549
83 O 0.285 0.053 0.452
84 O 0.285 0.947 0.952
85 O 0.299 0.042 0.150
86 O 0.299 0.958 0.650
87 O 0.323 0.219 0.847
88 O 0.323 0.781 0.347
89 O 0.333 0.408 0.793
90 O 0.333 0.592 0.293
91 O 0.377 0.440 0.551
92 O 0.377 0.560 0.051
93 O 0.420 0.082 0.893
94 O 0.420 0.918 0.393
95 O 0.476 0.058 0.250
96 O 0.476 0.942 0.750
97 O 0.494 0.401 0.993
98 O 0.494 0.599 0.493
99 O 0.537 0.288 0.945
100 O 0.537 0.712 0.445
101 O 0.549 0.460 0.648
102 O 0.549 0.540 0.148
103 O 0.578 0.443 0.751
104 O 0.578 0.557 0.251
105 O 0.581 0.436 0.349
106 O 0.581 0.564 0.849
107 O 0.599 0.084 0.093
108 O 0.599 0.460 0.450
109 O 0.599 0.540 0.950
110 O 0.599 0.916 0.593
111 O 0.619 0.289 0.144
112 O 0.619 0.711 0.644
113 O 0.640 0.218 0.048
114 O 0.640 0.782 0.548
115 O 0.680 0.058 0.852
116 O 0.680 0.942 0.352
117 O 0.705 0.034 0.548
118 O 0.705 0.966 0.048
119 O 0.722 0.408 0.193
120 O 0.722 0.592 0.693
121 O 0.795 0.095 0.293
122 O 0.795 0.905 0.793
123 O 0.831 0.214 0.245
124 O 0.831 0.786 0.745
125 O 0.855 0.036 0.948
126 O 0.855 0.964 0.448
127 O 0.877 0.055 0.651
128 O 0.877 0.945 0.151
129 O 0.899 0.038 0.749
130 O 0.899 0.962 0.249
131 O 0.902 0.418 0.393
132 O 0.902 0.582 0.893
133 O 0.930 0.215 0.444
134 O 0.930 0.785 0.944
135 O 0.944 0.282 0.348
136 O 0.944 0.718 0.848
137 O 0.948 0.466 0.046
138 O 0.948 0.534 0.546
139 O 0.978 0.448 0.152
140 O 0.978 0.552 0.652

## Properties
- Final energy: -5.73 eV per atom
- Energy of formation from the pure elements: -2.289 eV per atom
- Symmetry: No. 7
- Energy above the most stable polymorph in this dataset: 11 meV/atom
- Calculated volume: 16.10 Å³ per atom
- Energy with MP2020 corrections: -6.1205 eV/atom

# 2
VASP calculation (PBE-GGA) on a relaxed RbLiSO4 crystal.

a b c (Å): 5.367 8.894 10.712
angles (deg): 90.00 120.08 90.00
Atoms (fractional coordinates):
1 Rb 0.009 0.004 0.276
2 Rb 0.009 0.496 0.776
3 Rb 0.991 0.504 0.224
4 Rb 0.991 0.996 0.724
5 Li 0.333 0.679 0.590
6 Li 0.333 0.821 0.090
7 Li 0.667 0.179 0.910
8 Li 0.667 0.321 0.410
9 S 0.332 0.206 0.077
10 S 0.332 0.294 0.577
11 S 0.668 0.706 0.423
12 S 0.668 0.794 0.923
13 O 0.047 0.235 0.549
14 O 0.047 0.265 0.049
15 O 0.339 0.040 0.094
16 O 0.339 0.460 0.594
17 O 0.371 0.248 0.953
18 O 0.371 0.252 0.453
19 O 0.431 0.725 0.788
20 O 0.431 0.775 0.288
21 O 0.569 0.225 0.712
22 O 0.569 0.275 0.212
23 O 0.629 0.748 0.547
24 O 0.629 0.752 0.047
25 O 0.661 0.540 0.406
26 O 0.661 0.960 0.906
27 O 0.953 0.735 0.951
28 O 0.953 0.765 0.451

## Properties
- Final energy: -5.74 eV per atom
- Energy of formation from the pure elements: -2.301 eV per atom
- Symmetry: No. 14
- Energy above the most stable polymorph in this dataset: 0 meV/atom
- Calculated volume: 15.80 Å³ per atom
- Energy with MP2020 corrections: -6.1318 eV/atom

# 3
VASP calculation (PBE-GGA) on a relaxed RbLiSO4 crystal.

a b c (Å): 9.356 5.388 17.803
angles (deg): 90.00 90.13 90.00
Atoms (fractional coordinates):
1 Rb 0.215 0.247 0.249
2 Rb 0.215 0.253 0.749
3 Rb 0.283 0.240 0.499
4 Rb 0.283 0.260 0.999
5 Rb 0.717 0.740 0.001
6 Rb 0.717 0.760 0.501
7 Rb 0.785 0.747 0.251
8 Rb 0.785 0.753 0.751
9 Li 0.084 0.743 0.589
10 Li 0.084 0.757 0.089
11 Li 0.416 0.745 0.838
12 Li 0.416 0.755 0.338
13 Li 0.584 0.245 0.662
14 Li 0.584 0.255 0.162
15 Li 0.916 0.243 0.911
16 Li 0.916 0.257 0.411
17 S 0.082 0.744 0.897
18 S 0.082 0.756 0.397
19 S 0.416 0.745 0.647
20 S 0.416 0.755 0.147
21 S 0.584 0.245 0.853
22 S 0.584 0.255 0.353
23 S 0.918 0.244 0.603
24 S 0.918 0.256 0.103
25 O 0.031 0.066 0.628
26 O 0.031 0.434 0.128
27 O 0.047 0.504 0.367
28 O 0.047 0.996 0.867
29 O 0.089 0.747 0.481
30 O 0.089 0.753 0.981
31 O 0.223 0.659 0.868
32 O 0.223 0.841 0.368
33 O 0.280 0.658 0.613
34 O 0.280 0.842 0.113
35 O 0.403 0.747 0.730
36 O 0.403 0.753 0.230
37 O 0.450 0.001 0.620
38 O 0.450 0.499 0.120
39 O 0.466 0.073 0.876
40 O 0.466 0.427 0.376
41 O 0.534 0.573 0.624
42 O 0.534 0.927 0.124
43 O 0.550 0.501 0.880
44 O 0.550 0.999 0.380
45 O 0.597 0.247 0.770
46 O 0.597 0.253 0.270
47 O 0.720 0.158 0.887
48 O 0.720 0.342 0.387
49 O 0.777 0.159 0.632
50 O 0.777 0.341 0.132
51 O 0.911 0.247 0.019
52 O 0.911 0.253 0.519
53 O 0.953 0.004 0.133
54 O 0.953 0.496 0.633
55 O 0.969 0.566 0.872
56 O 0.969 0.934 0.372

## Properties
- Final energy: -5.74 eV per atom
- Energy of formation from the pure elements: -2.299 eV per atom
- Symmetry: No. 14
- Energy above the most stable polymorph in this dataset: 2 meV/atom
- Calculated volume: 16.03 Å³ per atom
- Energy with MP2020 corrections: -6.1297 eV/atom

# 4
VASP calculation (PBE-GGA) on a relaxed Rb4LiSe4O14 crystal.

a b c (Å): 7.916 8.018 8.120
angles (deg): 91.64 90.53 118.70
Atoms (fractional coordinates):
1 Rb 0.000 0.000 0.000
2 Rb 0.052 0.748 0.439
3 Rb 0.445 0.446 0.228
4 Rb 0.507 0.840 0.714
5 Li 0.139 0.349 0.751
6 Se 0.519 0.967 0.207
7 Se 0.527 0.354 0.702
8 Se 0.926 0.522 0.930
9 Se 0.958 0.188 0.469
10 O 0.034 0.695 0.802
11 O 0.046 0.404 0.960
12 O 0.063 0.102 0.337
13 O 0.121 0.419 0.520
14 O 0.347 0.010 0.134
15 O 0.400 0.409 0.835
16 O 0.408 0.136 0.625
17 O 0.438 0.809 0.357
18 O 0.606 0.883 0.059
19 O 0.639 0.526 0.572
20 O 0.696 0.182 0.286
21 O 0.710 0.330 0.825
22 O 0.850 0.587 0.096
23 O 0.931 0.081 0.655

## Properties
- Final energy: -5.03 eV per atom
- Energy of formation from the pure elements: -1.579 eV per atom
- Symmetry: No. 1
- Energy above the most stable polymorph in this dataset: 9 meV/atom
- Calculated volume: 19.64 Å³ per atom
- Energy with MP2020 corrections: -5.4526 eV/atom

# 5
VASP calculation (PBE-GGA) on a relaxed Rb4LiSe4O14 crystal.

a b c (Å): 8.520 8.520 7.626
angles (deg): 97.82 97.82 57.78
Atoms (fractional coordinates):
1 Rb 0.150 0.150 0.424
2 Rb 0.342 0.332 0.069
3 Rb 0.668 0.658 0.931
4 Rb 0.850 0.850 0.576
5 Li 0.771 0.229 0.000
6 Se 0.153 0.028 0.885
7 Se 0.430 0.398 0.612
8 Se 0.602 0.570 0.388
9 Se 0.972 0.847 0.115
10 O 0.015 0.217 0.020
11 O 0.034 0.044 0.690
12 O 0.172 0.828 0.000
13 O 0.212 0.491 0.656
14 O 0.351 0.024 0.863
15 O 0.414 0.586 0.500
16 O 0.502 0.216 0.467
17 O 0.509 0.788 0.344
18 O 0.570 0.369 0.794
19 O 0.631 0.430 0.206
20 O 0.783 0.985 0.980
21 O 0.784 0.498 0.533
22 O 0.956 0.966 0.310
23 O 0.976 0.649 0.137

## Properties
- Final energy: -5.00 eV per atom
- Energy of formation from the pure elements: -1.550 eV per atom
- Symmetry: No. 5
- Energy above the most stable polymorph in this dataset: 38 meV/atom
- Calculated volume: 20.11 Å³ per atom
- Energy with MP2020 corrections: -5.4231 eV/atom

# 6
VASP calculation (PBE-GGA) on a relaxed Rb4LiSe4O14 crystal.

a b c (Å): 7.773 8.056 8.227
angles (deg): 117.83 92.81 90.08
Atoms (fractional coordinates):
1 Rb 0.137 0.016 0.235
2 Rb 0.348 0.307 0.812
3 Rb 0.652 0.693 0.188
4 Rb 0.863 0.984 0.765
5 Li 0.500 0.500 0.500
6 Se 0.136 0.576 0.285
7 Se 0.347 0.809 0.720
8 Se 0.653 0.191 0.280
9 Se 0.864 0.424 0.715
10 O 0.002 0.251 0.620
11 O 0.046 0.365 0.161
12 O 0.237 0.978 0.885
13 O 0.248 0.563 0.472
14 O 0.279 0.630 0.173
15 O 0.452 0.662 0.779
16 O 0.485 0.901 0.633
17 O 0.515 0.099 0.367
18 O 0.548 0.338 0.221
19 O 0.721 0.370 0.827
20 O 0.752 0.437 0.528
21 O 0.763 0.022 0.115
22 O 0.954 0.635 0.839
23 O 0.998 0.749 0.380

## Properties
- Final energy: -4.99 eV per atom
- Energy of formation from the pure elements: -1.536 eV per atom
- Symmetry: No. 2
- Energy above the most stable polymorph in this dataset: 52 meV/atom
- Calculated volume: 19.78 Å³ per atom
- Energy with MP2020 corrections: -5.4090 eV/atom

# 7
VASP calculation (PBE-GGA) on a relaxed Rb4LiSe4O14 crystal.

a b c (Å): 7.833 7.996 8.399
angles (deg): 115.74 95.39 94.12
Atoms (fractional coordinates):
1 Rb 0.000 0.000 0.000
2 Rb 0.109 0.461 0.757
3 Rb 0.428 0.029 0.470
4 Rb 0.549 0.525 0.078
5 Li 0.751 0.288 0.272
6 Se 0.084 0.553 0.304
7 Se 0.455 0.987 0.922
8 Se 0.635 0.544 0.674
9 Se 0.925 0.952 0.482
10 O 0.034 0.758 0.498
11 O 0.056 0.051 0.396
12 O 0.186 0.445 0.404
13 O 0.199 0.631 0.190
14 O 0.336 0.144 0.902
15 O 0.348 0.860 0.004
16 O 0.469 0.427 0.712
17 O 0.503 0.849 0.716
18 O 0.640 0.100 0.058
19 O 0.729 0.377 0.511
20 O 0.738 0.854 0.356
21 O 0.784 0.639 0.858
22 O 0.896 0.433 0.188
23 O 0.915 0.081 0.695

## Properties
- Final energy: -5.03 eV per atom
- Energy of formation from the pure elements: -1.578 eV per atom
- Symmetry: No. 1
- Energy above the most stable polymorph in this dataset: 9 meV/atom
- Calculated volume: 20.35 Å³ per atom
- Energy with MP2020 corrections: -5.4518 eV/atom

# 8
VASP calculation (PBE-GGA) on a relaxed Rb4LiSe4O14 crystal.

a b c (Å): 7.782 8.070 8.158
angles (deg): 82.50 64.06 86.22
Atoms (fractional coordinates):
1 Rb 0.000 0.000 0.000
2 Rb 0.001 0.574 0.487
3 Rb 0.484 0.378 0.106
4 Rb 0.563 0.854 0.788
5 Li 0.848 0.305 0.301
6 Se 0.026 0.539 0.935
7 Se 0.033 0.065 0.482
8 Se 0.456 0.334 0.666
9 Se 0.461 0.879 0.304
10 O 0.079 0.244 0.342
11 O 0.096 0.630 0.072
12 O 0.256 0.988 0.485
13 O 0.273 0.430 0.629
14 O 0.366 0.742 0.234
15 O 0.368 0.182 0.840
16 O 0.570 0.803 0.429
17 O 0.575 0.027 0.137
18 O 0.575 0.471 0.715
19 O 0.600 0.253 0.472
20 O 0.878 0.377 0.063
21 O 0.899 0.678 0.857
22 O 0.903 0.093 0.698
23 O 0.951 0.925 0.405

## Properties
- Final energy: -5.03 eV per atom
- Energy of formation from the pure elements: -1.575 eV per atom
- Symmetry: No. 1
- Energy above the most stable polymorph in this dataset: 13 meV/atom
- Calculated volume: 19.86 Å³ per atom
- Energy with MP2020 corrections: -5.4484 eV/atom

The highest final energy belongs to which entry?
number 6

Which of these has the lowest energy of formation from the pure elements?
number 2